Entry from the Materials Project database: a relaxed CaBi2 crystal (meta-GGA r2SCAN).

a b c (Å): 4.7782 17.2407 4.5592
angles (deg): 90.00 90.00 90.00
Fractional coordinates of all 12 atoms:
Ca: 0.0000 0.1015 0.2500
Ca: 0.0000 0.8985 0.7500
Ca: 0.5000 0.3985 0.7500
Ca: 0.5000 0.6015 0.2500
Bi: 0.0000 0.2559 0.7500
Bi: 0.0000 0.4362 0.2500
Bi: 0.0000 0.5638 0.7500
Bi: 0.0000 0.7441 0.2500
Bi: 0.5000 0.0638 0.7500
Bi: 0.5000 0.2441 0.2500
Bi: 0.5000 0.7559 0.7500
Bi: 0.5000 0.9362 0.2500

## Properties
**Formation energy**: -1.81 eV per formula unit
**Volume**: 375.6 Å³ per cell
**Raw total energy**: -41.951 eV/atom

Entry from the Materials Project database: a relaxed ZnCdAu2 crystal (meta-GGA r2SCAN).

a b c (Å): 3.1530 3.1530 6.9397
angles (deg): 90.00 90.00 90.00
Fractional coordinates of all 4 atoms:
Zn: 0.0000 0.0000 0.0000
Cd: 0.0000 0.0000 0.5000
Au: 0.5000 0.5000 0.2219
Au: 0.5000 0.5000 0.7781

## Properties
**Formation energy**: -0.89 eV per formula unit
**Volume**: 69.0 Å³ per cell
**Raw total energy**: -32.770 eV/atom